Compound: SbO2F
Source: Materials Project
Functional: PBE
Structure: relaxed Values from VASP.

Calculated values
relative energy among the computed polymorphs: 10 meV per atom
space-group type: C2/c
final energy: -5.5029 eV per atom

```
&SYSTEM
  ibrav = 0, nat = 16, ntyp = 3
/
ATOMIC_SPECIES
Sb 121.76 Sb.upf
O 16.00 O.upf
F 19.00 F.upf
ATOMIC_POSITIONS angstrom
Sb 2.322 1.247 0.000
Sb 0.952 3.742 2.278
Sb 5.597 1.247 2.278
Sb 6.966 3.742 0.000
O 1.033 0.357 1.163
O -0.337 4.632 3.441
O 0.872 2.137 3.393
O 2.241 2.852 1.115
O 4.308 2.137 3.441
O 5.677 2.852 1.163
O 6.886 0.357 1.115
O 5.516 4.632 3.393
F -2.055 1.915 3.417
F -0.685 3.074 1.139
F 3.959 0.580 1.139
F 2.590 4.409 3.417
CELL_PARAMETERS angstrom
9.288 0.000 0.000
0.000 4.989 0.000
-2.739 0.000 4.556
```